This record from the Materials Project describes a relaxed CoPS crystal. The functional is r2SCAN.

Structure (POSCAR):
```
CoPS
1.0
-4.3307 -1.3646 -2.9258
1.8772 -5.0471 -0.4247
-2.6265 -1.3574 4.5207
Co P S
4 4 4
direct
0.4975 0.5025 0.0025
0.5025 0.0025 0.4975
0.0025 0.4975 0.5025
0.9975 0.9975 0.9975
0.8857 0.1143 0.6143
0.1143 0.6143 0.8857
0.6143 0.8857 0.1143
0.3857 0.3857 0.3857
0.1148 0.8852 0.3852
0.8852 0.3852 0.1148
0.3852 0.1148 0.8852
0.6148 0.6148 0.6148
```

Output
The value obtained for the volume is 13.1 A^3/atom. Its calculated formation energy is -0.582 eV/atom. Its crystal system is cubic.

This record from the Materials Project describes a relaxed ScCoP crystal. The functional is r2SCAN.

Structure (POSCAR):
```
ScCoP
1.0
3.7892 0.0000 0.0000
0.0000 6.2652 -0.0014
0.0000 -0.0015 6.9347
Sc Co P
4 4 4
direct
0.2500 0.0105 0.8115
0.2500 0.5105 0.6886
0.7500 0.9895 0.1885
0.7500 0.4895 0.3114
0.2500 0.1504 0.4383
0.2500 0.6504 0.0617
0.7500 0.8496 0.5617
0.7500 0.3496 0.9383
0.2500 0.2820 0.1136
0.2500 0.7820 0.3864
0.7500 0.7179 0.8864
0.7500 0.2180 0.6136
```

Output
The value obtained for the volume is 13.7 A^3/atom. Its calculated formation energy is -1.138 eV/atom. Its crystal system is orthorhombic.

This record from the Materials Project describes a relaxed SmCo5P3 crystal. The functional is r2SCAN.

Structure (POSCAR):
```
SmCo5P3
1.0
-1.9374 2.9088 1.1343
-8.7105 -5.2315 -1.4620
0.5220 -3.9475 11.0150
Sm Co P
4 20 12
direct
0.2500 0.5826 0.7008
0.2500 0.9174 0.2008
0.7500 0.4174 0.2992
0.7500 0.0826 0.7992
0.2500 0.7095 0.9882
0.2500 0.7905 0.4882
0.7500 0.2905 0.0118
0.7500 0.2095 0.5118
0.2500 0.4044 0.4887
0.2500 0.0956 0.9887
0.7500 0.5956 0.5113
0.7500 0.9044 0.0113
0.2500 0.2210 0.1748
0.2500 0.2790 0.6748
0.7500 0.7790 0.8252
0.7500 0.7210 0.3252
0.2500 0.8828 0.6974
0.2500 0.6172 0.1974
0.7500 0.1172 0.3026
0.7500 0.3828 0.8026
0.2500 0.4677 0.9338
0.2500 0.0323 0.4338
0.7500 0.5323 0.0662
0.7500 0.9677 0.5662
0.2500 0.4194 0.1122
0.2500 0.0806 0.6122
0.7500 0.5806 0.8878
0.7500 0.9194 0.3878
0.2500 0.2744 0.8666
0.2500 0.2256 0.3666
0.7500 0.7256 0.1334
0.7500 0.7744 0.6334
0.2500 0.6041 0.3936
0.2500 0.8959 0.8936
0.7500 0.3959 0.6064
0.7500 0.1041 0.1064
```

Output
The value obtained for the volume is 12.3 A^3/atom. Its calculated formation energy is -0.742 eV/atom. Its crystal system is orthorhombic.

This record from the Materials Project describes a relaxed SrCo2P2 crystal. The functional is r2SCAN.

Structure (POSCAR):
```
SrCo2P2
1.0
-0.4064 0.3169 -3.7594
2.6461 -2.6712 -0.5113
-5.1822 -2.8657 2.2336
Sr Co P
1 2 2
direct
0.0000 0.0000 0.0000
0.2500 0.7500 0.5000
0.7500 0.2500 0.5000
0.6540 0.6540 0.3081
0.3460 0.3460 0.6919
```

Output
The value obtained for the volume is 16.5 A^3/atom. Its calculated formation energy is -0.837 eV/atom. Its crystal system is tetragonal.

This record from the Materials Project describes a relaxed TaCoP crystal. The functional is r2SCAN.

Structure (POSCAR):
```
TaCoP
1.0
3.5667 0.0000 0.0000
0.0000 6.0794 0.0000
0.0000 0.0000 6.9457
Ta Co P
4 4 4
direct
0.2500 0.0226 0.8288
0.2500 0.5226 0.6712
0.7500 0.9774 0.1712
0.7500 0.4774 0.3288
0.2500 0.1436 0.4344
0.2500 0.6436 0.0656
0.7500 0.8564 0.5656
0.7500 0.3564 0.9344
0.2500 0.2796 0.1208
0.2500 0.7796 0.3792
0.7500 0.7204 0.8792
0.7500 0.2204 0.6208
```

Output
The value obtained for the volume is 12.6 A^3/atom. Its calculated formation energy is -0.786 eV/atom. Its crystal system is orthorhombic.

This record from the Materials Project describes a relaxed ThCo2P2 crystal. The functional is r2SCAN.

Structure (POSCAR):
```
ThCo2P2
1.0
4.0273 0.0000 0.0000
0.0000 4.0273 0.0000
0.0000 0.0000 9.0443
Th Co P
2 4 4
direct
0.0000 0.5000 0.2492
0.5000 0.0000 0.7508
0.0000 0.0000 0.0000
0.5000 0.5000 0.0000
0.0000 0.5000 0.6086
0.5000 0.0000 0.3914
0.0000 0.0000 0.5000
0.5000 0.5000 0.5000
0.0000 0.5000 0.8701
0.5000 0.0000 0.1299
```

Output
The value obtained for the volume is 14.7 A^3/atom. Its calculated formation energy is -1.039 eV/atom. Its crystal system is tetragonal.

- Among the records above, which one has the highest calculated formation energy?
  CoPS

- Among the records above, which one has the lowest calculated formation energy?
  ScCoP

- calculated formation energy of number 2 (ScCoP)?
  -1.138 eV/atom

- Among the records above, which one has the lowest calculated formation energy?
  ScCoP